No. 1
First-principles (PBE) data for a relaxed structure of Pr5B2C5, as listed in the Materials Project.

```
Pr5B2C5
1.0
8.682 0.000 0.000
0.000 8.682 0.000
0.000 0.000 11.089
Pr B C
20 8 20
Direct
0.593 0.713 0.898
0.407 0.287 0.898
0.500 0.000 0.643
0.500 0.000 0.143
0.713 0.593 0.602
0.907 0.213 0.602
0.093 0.213 0.102
0.787 0.907 0.398
0.213 0.907 0.898
0.407 0.713 0.398
0.213 0.093 0.398
0.287 0.407 0.602
0.713 0.407 0.102
0.787 0.093 0.898
0.287 0.593 0.102
0.593 0.287 0.398
0.093 0.787 0.602
0.000 0.500 0.357
0.000 0.500 0.857
0.907 0.787 0.102
0.844 0.156 0.250
0.656 0.656 0.250
0.344 0.344 0.250
0.156 0.844 0.250
0.844 0.844 0.750
0.156 0.156 0.750
0.656 0.344 0.750
0.344 0.656 0.750
0.104 0.801 0.371
0.000 0.500 0.096
0.000 0.500 0.596
0.500 0.000 0.904
0.604 0.699 0.129
0.104 0.199 0.871
0.396 0.301 0.129
0.896 0.199 0.371
0.801 0.104 0.129
0.801 0.896 0.629
0.301 0.604 0.871
0.699 0.396 0.871
0.199 0.896 0.129
0.500 0.000 0.404
0.604 0.301 0.629
0.896 0.801 0.871
0.396 0.699 0.629
0.301 0.396 0.371
0.199 0.104 0.629
0.699 0.604 0.371
```


No. 2
First-principles (PBE) data for a relaxed structure of Pr2BC, as listed in the Materials Project.

```
Pr2BC
1.0
-3.711 0.000 0.000
-1.855 -6.717 0.000
-1.855 -0.310 7.237
Pr B C
4 2 2
Direct
0.793 0.796 0.618
0.207 0.204 0.382
0.441 0.259 0.860
0.559 0.741 0.140
0.074 0.960 0.892
0.926 0.040 0.108
0.874 0.952 0.301
0.126 0.048 0.699
```


No. 3
First-principles (PBE) data for a relaxed structure of PrB2Rh2C, as listed in the Materials Project.

```
PrB2Rh2C
1.0
3.893 0.000 0.000
0.000 3.893 0.000
-1.946 -1.946 5.140
Pr B Rh C
1 2 2 1
Direct
0.000 0.000 0.000
0.646 0.646 0.292
0.354 0.354 0.708
0.750 0.250 0.500
0.250 0.750 0.500
0.500 0.500 0.000
```


No. 4
First-principles (PBE) data for a relaxed structure of PuB2C, as listed in the Materials Project.

```
PuB2C
1.0
-2.305 -4.265 -1.480
1.863 -3.282 3.385
-3.829 -0.182 3.317
Pu B C
3 6 3
Direct
0.000 0.000 0.000
0.693 0.693 0.693
0.307 0.307 0.307
0.231 0.769 0.500
0.500 0.231 0.769
0.769 0.500 0.231
0.500 0.769 0.231
0.231 0.500 0.769
0.769 0.231 0.500
0.000 0.000 0.500
0.500 0.000 0.000
0.000 0.500 0.000
```


No. 5
First-principles (PBE) data for a relaxed structure of SmB2Rh2C, as listed in the Materials Project.

```
SmB2Rh2C
1.0
3.853 0.000 0.000
0.000 3.853 0.000
-1.926 -1.926 5.136
Sm B Rh C
1 2 2 1
Direct
0.000 0.000 0.000
0.646 0.646 0.292
0.354 0.354 0.708
0.750 0.250 0.500
0.250 0.750 0.500
0.500 0.500 0.000
```


No. 6
First-principles (PBE) data for a relaxed structure of TbB2Rh2C, as listed in the Materials Project.

```
TbB2Rh2C
1.0
-2.108 -2.681 -1.706
2.610 -2.628 0.905
-2.704 1.751 4.852
Tb B Rh C
1 2 2 1
Direct
0.000 0.000 0.000
0.355 0.355 0.710
0.645 0.645 0.290
0.750 0.250 0.500
0.250 0.750 0.500
0.500 0.500 0.000
```


No. 7
First-principles (PBE) data for a relaxed structure of UB2Rh2C, as listed in the Materials Project.

```
UB2Rh2C
1.0
1.617 3.618 4.236
3.019 4.890 -0.788
-4.609 -2.887 -2.017
U B Rh C
1 2 2 1
Direct
0.000 0.000 0.000
0.647 0.647 0.000
0.353 0.353 0.000
0.250 0.750 0.500
0.750 0.250 0.500
0.500 0.500 0.000
```


No. 8
First-principles (PBE) data for a relaxed structure of Sc2BC2, as listed in the Materials Project.

```
Sc2BC2
1.0
4.337 3.700 1.276
0.026 5.515 1.928
-2.172 -5.387 0.627
Sc B C
2 1 2
Direct
0.652 0.652 0.000
0.348 0.348 0.000
0.000 0.000 0.000
0.861 0.861 0.000
0.139 0.139 0.000
```


No. 9
First-principles (PBE) data for a relaxed structure of Th2ScB6C3, as listed in the Materials Project.

```
Th2ScB6C3
1.0
4.127 2.694 -4.406
-5.934 2.714 1.061
1.409 2.070 2.585
Th Sc B C
2 1 6 3
Direct
0.333 0.667 0.000
0.667 0.333 0.000
0.000 0.000 0.000
0.272 0.000 0.500
0.728 0.000 0.500
0.000 0.272 0.500
0.000 0.728 0.500
0.728 0.728 0.500
0.272 0.272 0.500
0.500 0.000 0.500
0.000 0.500 0.500
0.500 0.500 0.500
```


No. 10
First-principles (PBE) data for a relaxed structure of TbSi4B18C, as listed in the Materials Project.

```
TbSi4B18C
1.0
5.010 6.155 0.000
-5.010 6.155 0.000
0.000 2.047 7.641
Tb Si B C
2 8 36 2
Direct
0.000 0.500 0.500
0.500 0.000 0.500
0.571 0.571 0.572
0.429 0.429 0.428
0.731 0.346 0.745
0.736 0.736 0.338
0.346 0.731 0.745
0.269 0.654 0.255
0.264 0.264 0.662
0.654 0.269 0.255
0.728 0.988 0.988
0.988 0.728 0.988
0.988 0.988 0.730
0.272 0.012 0.012
0.012 0.272 0.012
0.012 0.012 0.270
0.560 0.124 0.124
0.124 0.560 0.124
0.124 0.124 0.562
0.440 0.876 0.876
0.876 0.440 0.876
0.876 0.876 0.438
0.585 0.177 0.895
0.893 0.585 0.173
0.178 0.891 0.587
0.891 0.178 0.587
0.585 0.893 0.173
0.177 0.585 0.895
0.415 0.823 0.105
0.107 0.415 0.827
0.822 0.109 0.413
0.109 0.822 0.413
0.415 0.107 0.827
0.823 0.415 0.105
0.202 0.372 0.021
0.019 0.198 0.372
0.372 0.020 0.197
0.020 0.372 0.197
0.198 0.019 0.372
0.372 0.202 0.021
0.798 0.628 0.979
0.981 0.802 0.628
0.628 0.980 0.803
0.980 0.628 0.803
0.802 0.981 0.628
0.628 0.798 0.979
0.949 0.949 0.949
0.051 0.051 0.051
```


No. 11
First-principles (PBE) data for a relaxed structure of TaBC, as listed in the Materials Project.

```
TaBC
1.0
1.433 -2.482 0.000
1.433 2.482 0.000
0.000 0.000 7.703
Ta B C
2 2 2
Direct
0.000 0.000 0.500
0.000 0.000 0.000
0.333 0.667 0.750
0.667 0.333 0.250
0.333 0.667 0.250
0.667 0.333 0.750
```


No. 12
First-principles (PBE) data for a relaxed structure of TbB2C2, as listed in the Materials Project.

```
TbB2C2
1.0
3.801 0.000 0.000
0.000 3.801 0.000
0.000 0.000 7.256
Tb B C
2 4 4
Direct
0.000 0.000 0.750
0.000 0.000 0.250
0.215 0.500 0.000
0.785 0.500 0.000
0.500 0.215 0.500
0.500 0.785 0.500
0.500 0.188 0.000
0.500 0.812 0.000
0.812 0.500 0.500
0.188 0.500 0.500
```


No. 13
First-principles (PBE) data for a relaxed structure of TbB2C2, as listed in the Materials Project.

```
TbB2C2
1.0
0.000 0.000 3.601
5.358 0.000 0.000
0.000 5.358 0.000
Tb B C
2 4 4
Direct
0.000 0.500 0.500
0.000 0.000 0.000
0.500 0.137 0.637
0.500 0.637 0.863
0.500 0.863 0.363
0.500 0.363 0.137
0.500 0.838 0.662
0.500 0.338 0.838
0.500 0.662 0.162
0.500 0.162 0.338
```


No. 14
First-principles (PBE) data for a relaxed structure of Tb2B4C, as listed in the Materials Project.

```
Tb2B4C
1.0
-1.645 3.285 3.808
1.645 -3.285 3.808
1.645 3.285 -3.808
Tb B C
2 4 1
Direct
0.235 0.735 0.500
0.765 0.265 0.500
0.635 0.500 0.135
0.365 0.500 0.865
0.227 0.000 0.227
0.773 0.000 0.773
0.000 0.000 0.000
```


No. 15
First-principles (PBE) data for a relaxed structure of Tb10B7C10, as listed in the Materials Project.

```
Tb10B7C10
1.0
5.627 5.757 0.000
-5.627 5.757 0.000
0.000 3.435 23.440
Tb B C
40 28 40
Direct
0.971 0.624 0.922
0.303 0.546 0.818
0.496 0.156 0.818
0.376 0.029 0.578
0.979 0.228 0.578
0.354 0.913 0.318
0.087 0.646 0.182
0.223 0.173 0.424
0.624 0.971 0.422
0.454 0.697 0.682
0.375 0.822 0.922
0.241 0.292 0.696
0.625 0.178 0.078
0.646 0.087 0.682
0.822 0.375 0.422
0.576 0.426 0.577
0.827 0.777 0.076
0.546 0.303 0.318
0.037 0.894 0.682
0.708 0.759 0.804
0.574 0.424 0.923
0.697 0.454 0.182
0.156 0.496 0.318
0.894 0.037 0.182
0.963 0.106 0.318
0.292 0.241 0.196
0.759 0.708 0.304
0.772 0.021 0.922
0.178 0.625 0.578
0.228 0.979 0.078
0.844 0.504 0.682
0.426 0.576 0.077
0.029 0.376 0.078
0.106 0.963 0.818
0.424 0.574 0.423
0.777 0.827 0.576
0.173 0.223 0.924
0.021 0.772 0.422
0.913 0.354 0.818
0.504 0.844 0.182
0.103 0.458 0.480
0.305 0.855 0.479
0.897 0.542 0.520
0.878 0.122 0.750
0.122 0.878 0.250
0.571 0.429 0.750
0.294 0.343 0.525
0.096 0.943 0.521
0.695 0.145 0.521
0.904 0.057 0.479
0.069 0.621 0.750
0.931 0.379 0.250
0.256 0.510 0.980
0.542 0.897 0.020
0.706 0.657 0.475
0.855 0.305 0.979
0.621 0.069 0.250
0.379 0.931 0.750
0.657 0.706 0.975
0.343 0.294 0.025
0.744 0.490 0.020
0.943 0.096 0.021
0.510 0.256 0.480
0.145 0.695 0.021
0.429 0.571 0.250
0.490 0.744 0.520
0.458 0.103 0.980
0.057 0.904 0.979
0.745 0.795 0.682
0.392 0.544 0.192
0.724 0.474 0.083
0.324 0.274 0.088
0.406 0.858 0.807
0.524 0.875 0.083
0.676 0.726 0.912
0.142 0.594 0.693
0.873 0.325 0.916
0.474 0.724 0.583
0.205 0.255 0.818
0.923 0.075 0.416
0.325 0.873 0.416
0.726 0.676 0.412
0.657 0.009 0.308
0.925 0.077 0.084
0.255 0.205 0.318
0.544 0.392 0.692
0.127 0.675 0.084
0.077 0.925 0.584
0.456 0.608 0.308
0.991 0.343 0.192
0.343 0.991 0.692
0.594 0.142 0.193
0.858 0.406 0.307
0.193 0.941 0.192
0.276 0.526 0.917
0.608 0.456 0.808
0.807 0.059 0.808
0.675 0.127 0.584
0.941 0.193 0.692
0.875 0.524 0.583
0.009 0.657 0.808
0.059 0.807 0.308
0.274 0.324 0.588
0.125 0.476 0.417
0.075 0.923 0.916
0.526 0.276 0.417
0.795 0.745 0.182
0.476 0.125 0.917
```


No. 16
First-principles (PBE) data for a relaxed structure of Th3B2C3, as listed in the Materials Project.

```
Th3B2C3
1.0
3.795 0.000 0.000
0.000 3.726 0.000
0.000 1.605 9.105
Th B C
3 2 3
Direct
0.000 0.000 0.000
0.500 0.624 0.697
0.500 0.376 0.303
0.000 0.145 0.559
0.000 0.855 0.441
0.500 0.500 0.000
0.000 0.119 0.724
0.000 0.881 0.276
```


Computed values of calculated total energy (unit: eV for the cell shown) for the preceding records, in sequence: -344.4; -53.1; -45.5; -114.6; -45.6; -45.5; -51.2; -40.6; -96.1; -321.6; -54.6; -75.9; -77.4; -49.1; -785.4; -66.6.
Computed values of ΔE_f (unit: eV/atom) for the preceding records, in sequence: -0.23; -0.28; -0.57; -0.34; -0.59; -0.59; -0.43; -0.57; -0.60; -0.21; 0.16; -0.30; -0.45; -0.55; -0.41; -0.42.